Run 1
A relaxed structure of CaRuN2, computed with GGA-PBE.

The structure in POSCAR format:
```
CaRuN2
1.0
1.612 0.931 5.145
-1.612 0.931 5.145
0.000 -1.862 5.145
Ca Ru N
1 1 2
Direct
0.000 0.000 0.000
0.500 0.500 0.500
0.233 0.233 0.233
0.767 0.767 0.767
```

Calculated values
ρ = 6.063 g cm⁻³

=====

Run 2
A relaxed structure of CaRuN2, computed with GGA-PBE.

The structure in POSCAR format:
```
CaRuN2
1.0
5.488 0.000 0.000
0.000 10.792 0.000
0.000 0.000 15.449
Ca Ru N
16 16 32
Direct
0.089 0.216 0.191
0.089 0.284 0.691
0.223 0.507 0.568
0.223 0.993 0.068
0.277 0.007 0.568
0.277 0.493 0.068
0.411 0.716 0.191
0.411 0.784 0.691
0.589 0.216 0.309
0.589 0.284 0.809
0.723 0.507 0.932
0.723 0.993 0.432
0.777 0.007 0.932
0.777 0.493 0.432
0.911 0.716 0.309
0.911 0.784 0.809
0.124 0.222 0.437
0.124 0.278 0.937
0.222 0.518 0.808
0.222 0.982 0.308
0.278 0.018 0.808
0.278 0.482 0.308
0.376 0.722 0.437
0.376 0.778 0.937
0.624 0.222 0.063
0.624 0.278 0.563
0.722 0.518 0.692
0.722 0.982 0.192
0.778 0.018 0.692
0.778 0.482 0.192
0.876 0.722 0.063
0.876 0.778 0.563
0.112 0.545 0.208
0.112 0.955 0.708
0.203 0.189 0.832
0.203 0.311 0.332
0.212 0.563 0.419
0.212 0.937 0.919
0.221 0.728 0.045
0.221 0.772 0.545
0.279 0.228 0.045
0.279 0.272 0.545
0.288 0.063 0.419
0.288 0.437 0.919
0.297 0.689 0.832
0.297 0.811 0.332
0.388 0.045 0.208
0.388 0.455 0.708
0.612 0.545 0.292
0.612 0.955 0.792
0.703 0.189 0.668
0.703 0.311 0.168
0.712 0.563 0.081
0.712 0.937 0.581
0.721 0.728 0.455
0.721 0.772 0.955
0.779 0.228 0.455
0.779 0.272 0.955
0.788 0.063 0.081
0.788 0.437 0.581
0.797 0.689 0.668
0.797 0.811 0.168
0.888 0.045 0.292
0.888 0.455 0.792
```

Calculated values
ρ = 4.912 g cm⁻³

=====

Most stable structure: run 1

=====

Run 1
A relaxed structure of Ca4SN4, computed with GGA-PBE.

The structure in POSCAR format:
```
Ca4SN4
1.0
6.207 0.000 0.000
1.776 5.969 0.000
1.015 2.824 8.096
Ca S N
8 2 8
Direct
0.010 0.288 0.421
0.101 0.822 0.158
0.305 0.305 0.999
0.488 0.234 0.573
0.512 0.766 0.427
0.695 0.695 0.001
0.899 0.178 0.842
0.990 0.712 0.579
0.287 0.814 0.802
0.713 0.186 0.198
0.053 0.736 0.882
0.242 0.562 0.397
0.256 0.942 0.607
0.322 0.007 0.882
0.678 0.993 0.118
0.744 0.058 0.393
0.758 0.438 0.603
0.947 0.264 0.118
```

Calculated values
ρ = 2.750 g cm⁻³

=====

Run 2
A relaxed structure of Ca4SN4, computed with GGA-PBE.

The structure in POSCAR format:
```
Ca4SN4
1.0
11.630 0.000 0.000
0.000 3.553 0.000
0.000 0.000 14.654
Ca S N
16 4 16
Direct
0.111 0.250 0.171
0.119 0.750 0.962
0.123 0.750 0.375
0.141 0.250 0.767
0.359 0.750 0.267
0.377 0.250 0.875
0.381 0.250 0.462
0.389 0.750 0.671
0.611 0.250 0.329
0.619 0.750 0.538
0.623 0.750 0.125
0.641 0.250 0.733
0.859 0.750 0.233
0.877 0.250 0.625
0.881 0.250 0.038
0.889 0.750 0.829
0.113 0.750 0.564
0.387 0.250 0.064
0.613 0.750 0.936
0.887 0.250 0.436
0.001 0.250 0.887
0.051 0.750 0.657
0.231 0.250 0.316
0.244 0.750 0.549
0.256 0.250 0.049
0.269 0.750 0.816
0.449 0.250 0.157
0.499 0.750 0.387
0.501 0.250 0.613
0.551 0.750 0.843
0.731 0.250 0.184
0.744 0.750 0.951
0.756 0.250 0.451
0.769 0.750 0.684
0.949 0.250 0.343
0.999 0.750 0.113
```

Calculated values
ρ = 2.725 g cm⁻³

=====

Most stable structure: run 1

=====

Run 1
A relaxed structure of Ca2SnN2, computed with GGA-PBE.

The structure in POSCAR format:
```
Ca2SnN2
1.0
2.565 -5.639 0.000
2.565 5.639 0.000
0.000 0.000 12.130
Ca Sn N
8 4 8
Direct
0.039 0.961 0.862
0.138 0.862 0.454
0.362 0.638 0.954
0.461 0.539 0.362
0.539 0.461 0.638
0.638 0.362 0.046
0.862 0.138 0.546
0.961 0.039 0.138
0.243 0.757 0.686
0.257 0.743 0.186
0.743 0.257 0.814
0.757 0.243 0.314
0.062 0.938 0.641
0.151 0.849 0.045
0.349 0.651 0.545
0.438 0.562 0.141
0.562 0.438 0.859
0.651 0.349 0.455
0.849 0.151 0.955
0.938 0.062 0.359
```

Calculated values
ρ = 4.295 g cm⁻³

=====

Run 2
A relaxed structure of Ca2SnN2, computed with GGA-PBE.

The structure in POSCAR format:
```
Ca2SnN2
1.0
5.414 -2.509 0.000
5.414 2.509 0.000
-2.467 0.000 6.337
Ca Sn N
4 2 4
Direct
0.009 0.009 0.242
0.332 0.335 0.918
0.665 0.668 0.082
0.991 0.991 0.758
0.322 0.349 0.408
0.651 0.678 0.592
0.174 0.171 0.093
0.496 0.494 0.278
0.506 0.504 0.722
0.829 0.826 0.907
```

Calculated values
ρ = 4.377 g cm⁻³

=====

Most stable structure: run 1